[1]
! V4O5F7 PBE+U optimized geometry; values from VASP
! Formation energy from the elements ... -2.752 eV per atom
! SG ... No. 1
! Total moment ... 3.00 μB/f.u.
! Energy above the most stable polymorph in this dataset ... 1.07 kJ per mole of atoms
&SYSTEM
  ibrav = 0, nat = 16, ntyp = 3
/
ATOMIC_SPECIES
V 50.94 V.upf
O 16.00 O.upf
F 19.00 F.upf
ATOMIC_POSITIONS angstrom
V 0.0000 0.0000 0.0000
V -0.2475 0.2254 6.6106
V 2.4357 -1.3482 4.2375
V 2.6224 1.6713 2.2251
O -0.3084 -1.1611 7.5269
O -1.5294 1.1398 7.2460
O -1.5477 2.5839 3.4811
O 2.3895 0.3069 3.1928
O 2.8490 3.3181 0.9981
F 1.5149 1.0334 0.6979
F 1.5008 -0.4941 5.6949
F 0.2879 1.8200 5.3680
F 1.0980 2.6854 2.9147
F 1.0710 1.1170 7.7453
F 4.1925 -0.4316 5.0909
F 4.2048 1.0117 1.2675
CELL_PARAMETERS angstrom
5.3594 0.0000 0.0000
-2.6679 4.6542 0.0000
-0.0071 -2.9094 8.6972



[2]
! MgMn6O10F2 PBE+U optimized geometry; values from VASP
! Formation energy from the elements ... -2.090 eV per atom
! SG ... No. 1
! Total moment ... 22.00 μB/f.u.
! Energy above the most stable polymorph in this dataset ... 3.99 kJ per mole of atoms
&SYSTEM
  ibrav = 0, nat = 19, ntyp = 4
/
ATOMIC_SPECIES
Mg 24.30 Mg.upf
Mn 54.94 Mn.upf
O 16.00 O.upf
F 19.00 F.upf
ATOMIC_POSITIONS angstrom
Mg 0.0000 0.0000 0.0000
Mn 3.0085 3.1720 3.7911
Mn 3.3232 5.0031 1.5183
Mn 3.3114 1.8222 6.3649
Mn 5.9141 4.2877 6.1741
Mn 5.3522 2.1671 1.4942
Mn 5.3701 0.5271 3.8291
O 1.7151 5.9001 5.5716
O 1.1915 2.0206 3.1350
O 2.2710 4.8571 3.1097
O 2.3324 3.2524 5.5849
O 1.6517 0.8917 0.6299
O 3.9404 3.2682 2.0990
O 3.9406 1.6455 4.5503
O 4.7313 5.7460 7.1732
O 5.1564 2.8636 7.2024
O 4.4856 0.5817 2.0434
F 1.2173 3.7184 0.6803
F 4.9298 4.5420 4.3730
CELL_PARAMETERS angstrom
5.1097 0.0000 0.0000
0.7114 5.5875 0.0000
0.7143 0.9481 7.4863



[3]
! BaMnO4 PBE+U optimized geometry; values from VASP
! Formation energy from the elements ... -2.065 eV per atom
! SG ... No. 62
&SYSTEM
  ibrav = 0, nat = 24, ntyp = 3
/
ATOMIC_SPECIES
Ba 137.33 Ba.upf
Mn 54.94 Mn.upf
O 16.00 O.upf
ATOMIC_POSITIONS angstrom
Ba 1.7059 1.4221 1.1860
Ba 2.8843 4.2663 4.9329
Ba 6.2962 1.4221 2.5610
Ba 7.4746 4.2663 6.3079
Mn 0.5692 1.4221 5.1815
Mn 4.0210 4.2663 1.4346
Mn 5.1595 1.4221 6.0593
Mn 8.6113 4.2663 2.3124
O 0.7515 0.0691 6.1467
O 0.7515 2.7751 6.1467
O 0.9245 4.2663 3.0014
O 1.7543 1.4221 4.0245
O 2.8360 4.2663 0.2776
O 3.6657 1.4221 6.7484
O 3.8387 2.9133 2.3998
O 3.8387 5.6193 2.3998
O 5.3418 0.0691 5.0941
O 5.3418 2.7751 5.0941
O 5.5148 4.2663 0.7455
O 6.3445 1.4221 7.2163
O 7.4262 4.2663 3.4694
O 8.2560 1.4221 4.4925
O 8.4289 2.9133 1.3472
O 8.4289 5.6193 1.3472
CELL_PARAMETERS angstrom
9.1805 0.0000 0.0000
0.0000 5.6884 0.0000
0.0000 0.0000 7.4939